# 1
The following is a PBE calculation of a relaxed structure of ErTlO2, from the Materials Project database.

Cell: 3.4650 3.4650 19.5274 Å, 90.00 90.00 120.00°
Closest atoms and distances in Å follow each position.
Space group R-3m (No. 166, hexagonal axes)
Symmetry-distinct sites (fractional):
1 Er 0.0000 0.0000 0.0000 (multiplicity 3)  6 O 2.28
2 Tl 0.0000 0.0000 0.5000 (multiplicity 3)  6 O 2.94
3 O 0.0000 0.0000 0.2768 (multiplicity 6)  3 Er 2.28

## Properties
Crystal system: trigonal
Energy of formation in kJ/mol of atoms: -264.7


# 2
The following is a PBE calculation of a relaxed structure of La14Au51, from the Materials Project database.

Cell: 13.0907 13.0907 9.5613 Å, 90.00 90.00 120.00°
Closest atoms and distances in Å follow each position.
Space group P-6 (No. 174)
Symmetry-distinct sites (fractional):
1 La 0.0000 0.0000 0.1993 (multiplicity 2)  15 Au 3.19-3.40
2 La 0.1137 0.7270 0.5000 (multiplicity 3)  13 Au 3.20-3.38
3 La 0.1404 0.4675 0.0000 (multiplicity 3)  14 Au 3.17-3.42
4 La 0.3960 0.1163 0.5000 (multiplicity 3)  12 Au 3.00-3.34
5 La 0.4670 0.3270 0.0000 (multiplicity 3)  14 Au 3.17-3.44
6 Au 0.0663 0.8267 0.0000 (multiplicity 3)  8 Au 2.81-3.01
7 Au 0.0749 0.2683 0.2632 (multiplicity 6)  8 Au 2.86-3.15, 2 La 3.20
8 Au 0.1057 0.6660 0.1682 (multiplicity 6)  7 Au 2.88-3.22, 2 La 3.17-3.22
9 Au 0.1162 0.4952 0.3486 (multiplicity 6)  7 Au 2.86-3.12
10 Au 0.1343 0.0210 0.5000 (multiplicity 3)  6 Au 2.84-3.03, 1 La 3.00
11 Au 0.2403 0.0667 0.0000 (multiplicity 3)  8 Au 2.81-3.00
12 Au 0.2667 0.1935 0.2657 (multiplicity 6)  8 Au 2.85-3.16, 1 La 3.19
13 Au 0.3333 0.6667 0.1997 (multiplicity 2)  7 Au 2.87-2.99, 3 La 3.20
14 Au 0.3333 0.6667 0.5000 (multiplicity 1)  8 Au 2.87-2.97
15 Au 0.4404 0.1059 0.1675 (multiplicity 6)  7 Au 2.88-3.20, 2 La 3.17-3.22
16 Au 0.4938 0.3784 0.3476 (multiplicity 6)  7 Au 2.85-3.11
17 Au 0.6667 0.3333 0.1999 (multiplicity 2)  7 Au 2.87-2.99, 3 La 3.21
18 Au 0.6667 0.3333 0.5000 (multiplicity 1)  8 Au 2.87-2.99

## Properties
Crystal system: hexagonal
Energy of formation in kJ/mol of atoms: -64.0


# 3
The following is a PBE calculation of a relaxed structure of Hf2Be17, from the Materials Project database.

Cell: 7.4689 7.4689 10.9375 Å, 90.00 90.00 120.00°
Closest atoms and distances in Å follow each position.
Space group R-3m (No. 166, hexagonal axes)
Symmetry-distinct sites (fractional):
1 Hf 0.0000 0.0000 0.1625 (multiplicity 6)  19 Be 2.64-2.85
2 Be 0.0000 0.0000 0.4036 (multiplicity 6)  7 Be 2.11-2.34
3 Be 0.0000 0.2889 0.5000 (multiplicity 18)  8 Be 2.14-2.34
4 Be 0.0000 0.5000 0.0000 (multiplicity 9)  10 Be 2.14-2.29
5 Be 0.0023 0.5011 0.6580 (multiplicity 18)  9 Be 2.15-2.34

## Properties
Crystal system: trigonal
Energy of formation in kJ/mol of atoms: -21.8


# 4
The following is a PBE calculation of a relaxed structure of KLaPdO3, from the Materials Project database.

Cell: 13.5335 4.0096 7.6227 Å, 90.00 105.45 90.00°
Closest atoms and distances in Å follow each position.
Space group C2/m (No. 12)
Symmetry-distinct sites (fractional):
1 K 0.1429 0.0000 0.0655 (multiplicity 4)  7 O 2.72-3.04
2 La 0.1504 0.0000 0.5830 (multiplicity 4)  7 O 2.39-2.66
3 Pd 0.0069 0.5000 0.2715 (multiplicity 4)  4 O 2.03-2.10
4 O 0.0071 0.0000 0.3106 (multiplicity 4)  2 Pd 2.03
5 O 0.1514 0.5000 0.7836 (multiplicity 4)  1 Pd 2.07
6 O 0.1677 0.5000 0.3642 (multiplicity 4)  1 Pd 2.10

## Properties
Crystal system: monoclinic
Energy of formation in kJ/mol of atoms: -224.5


# 5
The following is a PBE calculation of a relaxed structure of ZnBi, from the Materials Project database.

Cell: 6.5863 8.1360 8.4682 Å, 90.00 90.00 90.00°
Closest atoms and distances in Å follow each position.
Space group Pbca (No. 61)
Symmetry-distinct sites (fractional):
1 Zn 0.0407 0.1048 0.1248 (multiplicity 8)  1 Zn 2.77, 4 Bi 2.80-3.03
2 Bi 0.1456 0.5865 0.8873 (multiplicity 8)  4 Zn 2.80-3.03, 1 Bi 3.05

## Properties
Crystal system: orthorhombic
Energy of formation in kJ/mol of atoms: 10.3


# 6
The following is a PBE calculation of a relaxed structure of Mo3S7Cl4, from the Materials Project database.

Cell: 9.5870 12.3587 14.3606 Å, 90.00 122.49 90.00°
Closest atoms and distances in Å follow each position.
Space group P2_1/c (No. 14)
Symmetry-distinct sites (fractional):
1 Mo 0.1002 0.1602 0.2771 (multiplicity 4)  5 S 2.36-2.51, 2 Cl 2.52-2.58
2 Mo 0.1417 0.1193 0.7825 (multiplicity 4)  5 S 2.36-2.51, 2 Cl 2.50-2.59
3 Mo 0.3795 0.2455 0.2937 (multiplicity 4)  5 S 2.38-2.50, 2 Cl 2.45-2.50
4 S 0.0918 0.2191 0.9055 (multiplicity 4)  1 S 2.03
5 S 0.1024 0.2355 0.6400 (multiplicity 4)  3 Mo 2.36-2.38
6 S 0.1147 0.7074 0.7486 (multiplicity 4)  1 S 2.03
7 S 0.3212 0.0473 0.2819 (multiplicity 4)  1 S 2.03
8 S 0.3801 0.1225 0.4240 (multiplicity 4)  1 S 2.03
9 S 0.3969 0.0526 0.7927 (multiplicity 4)  1 S 2.02
10 S 0.4291 0.1217 0.9308 (multiplicity 4)  1 S 2.02
11 Cl 0.0270 0.0121 0.3702 (multiplicity 4)  2 Mo 2.50-2.58
12 Cl 0.1167 0.5482 0.3811 (multiplicity 4)  2 Mo 2.52-2.59
13 Cl 0.3204 0.7158 0.0955 (multiplicity 4)  1 Mo 2.45
14 Cl 0.4338 0.2364 0.1419 (multiplicity 4)  1 Mo 2.50

## Properties
Crystal system: monoclinic
Energy of formation in kJ/mol of atoms: -109.8


# 7
The following is a PBE calculation of a relaxed structure of BePO4, from the Materials Project database.

Cell: 4.7755 4.7755 7.4343 Å, 90.00 90.00 90.00°
Closest atoms and distances in Å follow each position.
Space group I-4 (No. 82)
Symmetry-distinct sites (fractional):
1 Be 0.0000 0.0000 0.0000 (multiplicity 2)  4 O 1.61
2 P 0.0000 0.5000 0.7500 (multiplicity 2)  4 O 1.53
3 O 0.0905 0.7438 0.8709 (multiplicity 8)  1 P 1.53, 1 Be 1.61

## Properties
Crystal system: tetragonal
Energy of formation in kJ/mol of atoms: -244.9


# 8
The following is a PBE calculation of a relaxed structure of KBaNbS4, from the Materials Project database.

Cell: 9.3342 7.0745 12.7692 Å, 90.00 90.00 90.00°
Closest atoms and distances in Å follow each position.
Space group Pnma (No. 62)
Symmetry-distinct sites (fractional):
1 K 0.1356 0.2500 0.0747 (multiplicity 4)  7 S 3.26-3.64
2 Ba 0.0205 0.7500 0.3240 (multiplicity 4)  7 S 3.22-3.35
3 Nb 0.2293 0.2500 0.4235 (multiplicity 4)  4 S 2.28-2.29
4 S 0.0158 0.7500 0.5827 (multiplicity 4)  1 Nb 2.29
5 S 0.1810 0.0098 0.8414 (multiplicity 8)  1 Nb 2.28
6 S 0.1942 0.7500 0.0942 (multiplicity 4)  1 Nb 2.29

## Properties
Crystal system: orthorhombic
Energy of formation in kJ/mol of atoms: -164.6


# 9
The following is a PBE calculation of a relaxed structure of HoTm3, from the Materials Project database.

Cell: 7.1181 7.1181 5.5679 Å, 90.00 90.00 120.00°
Closest atoms and distances in Å follow each position.
Space group P6_3/mmc (No. 194)
Symmetry-distinct sites (fractional):
1 Ho 0.3333 0.6667 0.2500 (multiplicity 2)  12 Tm 3.46-3.56
2 Tm 0.1664 0.3327 0.7500 (multiplicity 6)  8 Tm 3.46-3.57, 4 Ho 3.46-3.56

## Properties
Crystal system: hexagonal
Energy of formation in kJ/mol of atoms: 0.7


# 10
The following is a PBE calculation of a relaxed structure of NaCa10P7O28, from the Materials Project database.

Cell: 10.5575 10.5575 37.5833 Å, 90.00 90.00 120.00°
Closest atoms and distances in Å follow each position.
Space group R3 (No. 146, hexagonal axes)
Symmetry-distinct sites (fractional):
1 Na 0.0000 0.0000 0.0000 (multiplicity 3)  3 O 2.50
2 Na 0.0000 0.0000 0.4850 (multiplicity 3)  3 O 2.48
3 Ca 0.0000 0.0000 0.3160 (multiplicity 3)  6 O 2.26-2.31
4 Ca 0.0000 0.0000 0.8163 (multiplicity 3)  6 O 2.27-2.30
5 Ca 0.0583 0.5251 0.9140 (multiplicity 9)  7 O 2.35-2.53
6 Ca 0.0589 0.5333 0.4140 (multiplicity 9)  7 O 2.34-2.53
7 Ca 0.0681 0.5224 0.8080 (multiplicity 9)  7 O 2.41-2.63
8 Ca 0.0681 0.5453 0.3075 (multiplicity 9)  7 O 2.40-2.62
9 Ca 0.1756 0.3823 0.5478 (multiplicity 9)  6 O 2.37-2.49
10 Ca 0.1761 0.7928 0.0475 (multiplicity 9)  6 O 2.38-2.47
11 P 0.0000 0.0000 0.0828 (multiplicity 3)  4 O 1.55-1.56
12 P 0.0000 0.0000 0.5825 (multiplicity 3)  4 O 1.56
13 P 0.0243 0.4912 0.1164 (multiplicity 9)  4 O 1.54-1.57
14 P 0.0253 0.5332 0.6165 (multiplicity 9)  4 O 1.54-1.57
15 P 0.1526 0.3471 0.3481 (multiplicity 9)  4 O 1.55-1.56
16 P 0.1526 0.8055 0.8481 (multiplicity 9)  4 O 1.55-1.56
17 O 0.0000 0.0000 0.1241 (multiplicity 3)  1 P 1.55
18 O 0.0000 0.0000 0.6240 (multiplicity 3)  1 P 1.56
19 O 0.0083 0.1444 0.5696 (multiplicity 9)  1 P 1.56
20 O 0.0082 0.8646 0.0693 (multiplicity 9)  1 P 1.56
21 O 0.0150 0.2325 0.9366 (multiplicity 9)  1 P 1.54
22 O 0.0152 0.7839 0.4368 (multiplicity 9)  1 P 1.54
23 O 0.0211 0.2862 0.6933 (multiplicity 9)  1 P 1.55
24 O 0.0210 0.7351 0.1933 (multiplicity 9)  1 P 1.55
25 O 0.0606 0.3853 0.0953 (multiplicity 9)  1 P 1.57
26 O 0.0606 0.6752 0.5953 (multiplicity 9)  1 P 1.57
27 O 0.0689 0.4858 0.1556 (multiplicity 9)  1 P 1.56
28 O 0.0690 0.5828 0.6558 (multiplicity 9)  1 P 1.56
29 O 0.0808 0.1821 0.3584 (multiplicity 9)  1 P 1.56
30 O 0.0809 0.8988 0.8583 (multiplicity 9)  1 P 1.56
31 O 0.1226 0.4283 0.8656 (multiplicity 9)  1 P 1.55
32 O 0.1226 0.6945 0.3657 (multiplicity 9)  1 P 1.55
33 O 0.1737 0.3697 0.3074 (multiplicity 9)  1 P 1.55
34 O 0.1738 0.8039 0.8073 (multiplicity 9)  1 P 1.55
35 O 0.1892 0.0919 0.7771 (multiplicity 9)  1 P 1.57
36 O 0.1897 0.0978 0.2773 (multiplicity 9)  1 P 1.57

## Properties
Crystal system: trigonal
Energy of formation in kJ/mol of atoms: -317.0


# 11
The following is a PBE calculation of a relaxed structure of K3AuCl6, from the Materials Project database.

Cell: 10.9376 10.9376 10.9376 Å, 90.00 90.00 90.00°
Closest atoms and distances in Å follow each position.
Space group Fm-3m (No. 225)
Symmetry-distinct sites (fractional):
1 K 0.0000 0.0000 0.0000 (multiplicity 4)  6 Cl 2.96
2 K 0.2500 0.2500 0.2500 (multiplicity 8)  12 Cl 3.87
3 Au 0.0000 0.0000 0.5000 (multiplicity 4)  6 Cl 2.51
4 Cl 0.0000 0.0000 0.2705 (multiplicity 24)  1 Au 2.51

## Properties
Crystal system: cubic
Energy of formation in kJ/mol of atoms: -146.9